(1)
{
  "formula": "Na10Ta6Ga2Si11SO48",
  "functional": "PBE-GGA",
  "state": "optimized geometry",
  "magmom_total_mub_per_atom": 0.000,
  "corrected_energy_ev_per_atom": -7.967,
  "cell": [[-17.148, 4.654, 2.119], [3.060, -7.660, 3.547], [5.207, 10.897, 18.940]],
  "species": ["O", "O", "O", "O", "O", "O", "O", "O", "O", "O", "O", "O", "O", "O", "O", "O", "O", "O", "O", "O", "O", "O", "O", "O", "O", "O", "O", "O", "O", "O", "O", "O", "O", "O", "O", "O", "O", "O", "O", "O", "O", "O", "O", "O", "O", "O", "O", "O", "O", "O", "O", "O", "O", "O", "O", "O", "O", "O", "O", "O", "O", "O", "O", "O", "O", "O", "O", "O", "O", "O", "O", "O", "O", "O", "O", "O", "O", "O", "O", "O", "O", "O", "O", "O", "O", "O", "O", "O", "O", "O", "O", "O", "O", "O", "O", "O", "O", "O", "O", "O", "O", "O", "O", "O", "O", "O", "O", "O", "O", "O", "O", "O", "O", "O", "O", "O", "O", "O", "O", "O", "O", "O", "O", "O", "O", "O", "O", "O", "O", "O", "O", "O", "O", "O", "O", "O", "O", "O", "O", "O", "O", "O", "O", "O", "Si", "Si", "Si", "Si", "Si", "Si", "Si", "Si", "Si", "Si", "Si", "Si", "Si", "Si", "Si", "Si", "Si", "Si", "Si", "Si", "Si", "Si", "Si", "Si", "Si", "Si", "Si", "Si", "Si", "Si", "Si", "Si", "Si", "Ga", "Ga", "Ga", "Ga", "Ga", "Ga", "Na", "Na", "Na", "Na", "Na", "Na", "Na", "Na", "Na", "Na", "Na", "Na", "Na", "Na", "Na", "Na", "Na", "Na", "Na", "Na", "Na", "Na", "Na", "Na", "Na", "Na", "Na", "Na", "Na", "Na", "Ta", "Ta", "Ta", "Ta", "Ta", "Ta", "Ta", "Ta", "Ta", "Ta", "Ta", "Ta", "Ta", "Ta", "Ta", "Ta", "Ta", "Ta", "S", "S", "S"],
  "fractional_positions": [[0.318, 0.135, 0.143], [0.825, 0.500, 0.922], [0.431, 0.360, 0.640], [0.485, 0.803, 0.808], [0.412, 0.518, 0.744], [0.347, 0.532, 0.524], [0.425, 0.352, 0.923], [0.919, 0.809, 0.587], [0.985, 0.156, 0.591], [0.584, 0.698, 0.474], [0.584, 0.197, 0.692], [0.818, 0.503, 0.643], [0.654, 0.837, 0.975], [0.015, 0.190, 0.908], [0.753, 0.145, 0.923], [0.684, 0.859, 0.577], [0.905, 0.973, 0.409], [0.086, 0.488, 0.256], [0.732, 0.161, 0.246], [0.680, 0.865, 0.858], [0.252, 0.356, 0.425], [0.766, 0.693, 0.975], [0.435, 0.498, 0.141], [0.235, 0.305, 0.027], [0.253, 0.146, 0.926], [0.014, 0.205, 0.188], [0.656, 0.851, 0.254], [0.019, 0.831, 0.691], [0.986, 0.806, 0.808], [0.266, 0.699, 0.975], [0.593, 0.160, 0.090], [0.082, 0.698, 0.477], [0.737, 0.165, 0.527], [0.072, 0.510, 0.578], [0.917, 0.024, 0.087], [0.230, 0.297, 0.746], [0.648, 0.466, 0.474], [0.735, 0.303, 0.027], [0.344, 0.517, 0.244], [0.091, 0.206, 0.696], [0.585, 0.695, 0.757], [0.986, 0.814, 0.091], [0.752, 0.641, 0.857], [0.417, 0.025, 0.086], [0.102, 0.175, 0.803], [0.931, 0.365, 0.640], [0.149, 0.828, 0.972], [0.156, 0.851, 0.254], [0.898, 0.829, 0.190], [0.416, 0.533, 0.027], [0.080, 0.188, 0.408], [0.319, 0.496, 0.641], [0.091, 0.979, 0.195], [0.248, 0.851, 0.077], [0.844, 0.518, 0.244], [0.598, 0.164, 0.807], [0.897, 0.960, 0.689], [0.915, 0.802, 0.308], [0.761, 0.832, 0.757], [0.348, 0.169, 0.026], [0.920, 0.302, 0.525], [0.573, 0.506, 0.578], [0.680, 0.505, 0.077], [0.248, 0.639, 0.576], [0.260, 0.700, 0.255], [0.749, 0.133, 0.643], [0.511, 0.837, 0.408], [0.154, 0.460, 0.756], [0.658, 0.484, 0.756], [0.252, 0.872, 0.353], [0.912, 0.524, 0.744], [0.517, 0.837, 0.693], [0.987, 0.167, 0.307], [0.580, 0.188, 0.408], [0.405, 0.974, 0.408], [0.427, 0.501, 0.423], [0.410, 0.296, 0.245], [0.264, 0.828, 0.471], [0.594, 0.981, 0.193], [0.418, 0.810, 0.591], [0.326, 0.151, 0.422], [0.491, 0.818, 0.091], [0.147, 0.466, 0.474], [0.510, 0.185, 0.911], [0.487, 0.161, 0.589], [0.082, 0.466, 0.976], [0.847, 0.171, 0.028], [0.178, 0.854, 0.577], [0.067, 0.623, 0.360], [0.072, 0.633, 0.077], [0.088, 0.692, 0.756], [0.751, 0.870, 0.354], [0.181, 0.504, 0.077], [0.581, 0.468, 0.976], [0.747, 0.646, 0.577], [0.918, 0.029, 0.806], [0.753, 0.368, 0.141], [0.928, 0.501, 0.424], [0.601, 0.025, 0.302], [0.091, 0.019, 0.589], [0.910, 0.297, 0.244], [0.248, 0.632, 0.857], [0.080, 0.973, 0.909], [0.403, 0.840, 0.910], [0.826, 0.150, 0.423], [0.232, 0.160, 0.246], [0.766, 0.831, 0.473], [0.753, 0.357, 0.426], [0.573, 0.640, 0.078], [0.102, 0.025, 0.303], [0.929, 0.361, 0.925], [0.847, 0.527, 0.526], [0.011, 0.836, 0.408], [0.194, 0.502, 0.359], [0.238, 0.167, 0.528], [0.256, 0.826, 0.755], [0.918, 0.536, 0.025], [0.813, 0.130, 0.143], [0.322, 0.498, 0.924], [0.415, 0.802, 0.307], [0.746, 0.854, 0.077], [0.570, 0.500, 0.860], [0.586, 0.488, 0.256], [0.414, 0.029, 0.810], [0.593, 0.024, 0.590], [0.190, 0.886, 0.856], [0.567, 0.623, 0.359], [0.843, 0.169, 0.744], [0.404, 0.976, 0.694], [0.694, 0.502, 0.359], [0.933, 0.497, 0.140], [0.421, 0.308, 0.523], [0.341, 0.167, 0.744], [0.247, 0.134, 0.644], [0.516, 0.209, 0.188], [0.580, 0.974, 0.911], [0.398, 0.827, 0.189], [0.907, 0.835, 0.910], [0.090, 0.162, 0.090], [0.739, 0.308, 0.744], [0.253, 0.365, 0.141], [0.487, 0.167, 0.306], [0.066, 0.511, 0.859], [0.760, 0.701, 0.255], [0.305, 0.953, 0.412], [0.981, 0.329, 0.584], [0.858, 0.004, 0.747], [0.853, 0.711, 0.248], [0.642, 0.289, 0.749], [0.833, 0.044, 0.085], [0.479, 0.331, 0.582], [0.980, 0.632, 0.083], [0.687, 0.043, 0.585], [0.496, 0.709, 0.749], [0.167, 0.378, 0.416], [0.186, 0.044, 0.586], [0.352, 0.709, 0.248], [0.167, 0.958, 0.915], [0.333, 0.620, 0.584], [0.307, 0.662, 0.913], [0.479, 0.629, 0.084], [0.666, 0.956, 0.916], [0.186, 0.325, 0.085], [0.526, 0.669, 0.414], [0.687, 0.330, 0.085], [0.810, 0.664, 0.916], [0.027, 0.670, 0.415], [0.005, 0.297, 0.248], [0.026, 0.383, 0.915], [0.805, 0.951, 0.413], [0.352, 0.993, 0.752], [0.832, 0.622, 0.583], [0.505, 0.298, 0.248], [0.004, 0.713, 0.749], [0.332, 0.045, 0.084], [0.521, 0.375, 0.917], [0.668, 0.377, 0.416], [0.998, 0.990, 0.645], [0.997, 0.004, 0.146], [0.666, 0.646, 0.316], [0.166, 0.646, 0.316], [0.493, 0.006, 0.147], [0.168, 0.677, 0.817], [0.183, 0.988, 0.750], [0.347, 0.029, 0.914], [0.658, 0.651, 0.664], [0.681, 0.001, 0.749], [0.163, 0.658, 0.174], [0.345, 0.663, 0.416], [0.336, 0.707, 0.087], [0.010, 0.011, 0.506], [0.836, 0.327, 0.834], [0.316, 0.992, 0.253], [0.486, 0.311, 0.415], [0.331, 0.338, 0.333], [0.018, 0.326, 0.087], [0.832, 0.338, 0.333], [0.820, 0.643, 0.748], [0.018, 0.707, 0.586], [0.647, 0.970, 0.086], [0.817, 0.993, 0.253], [0.663, 0.651, 0.176], [0.515, 0.324, 0.088], [0.846, 0.664, 0.415], [0.987, 0.313, 0.415], [0.837, 0.708, 0.088], [0.007, 0.010, 0.005], [0.837, 0.964, 0.586], [0.337, 0.350, 0.834], [0.502, 0.998, 0.001], [0.505, 0.000, 0.504], [0.988, 0.664, 0.914], [0.171, 0.664, 0.672], [0.839, 0.346, 0.188], [0.331, 0.329, 0.480], [0.996, 0.000, 0.856], [0.663, 0.663, 0.521], [0.497, 0.999, 0.645], [0.499, 0.996, 0.855], [0.496, 0.997, 0.354], [0.331, 0.339, 0.979], [0.997, 0.997, 0.355], [0.169, 0.668, 0.522], [0.338, 0.334, 0.686], [0.664, 0.664, 0.812], [0.832, 0.328, 0.480], [0.337, 0.342, 0.188], [0.833, 0.329, 0.978], [0.837, 0.337, 0.688], [0.167, 0.668, 0.021], [0.667, 0.666, 0.020], [0.142, 0.999, 0.248], [0.643, 0.000, 0.248], [0.142, 0.289, 0.749]]
}


(2)
{
  "formula": "AlRh3",
  "functional": "PBE-GGA",
  "state": "optimized geometry",
  "e_tot_ev_per_atom": -6.93,
  "cell": [[-0.085, 5.064, 2.052], [-4.059, -1.705, -3.238], [-2.182, -1.456, 3.503]],
  "species": ["Rh", "Rh", "Rh", "Rh", "Rh", "Rh", "Al", "Al"],
  "fractional_positions": [[0.335, 0.168, 0.750], [0.168, 0.335, 0.250], [0.832, 0.665, 0.750], [0.665, 0.832, 0.250], [0.832, 0.168, 0.750], [0.168, 0.832, 0.250], [0.333, 0.667, 0.750], [0.667, 0.333, 0.250]]
}


(3)
{
  "formula": "Fe2CoN2",
  "functional": "PBE-GGA",
  "state": "optimized geometry",
  "magmom_total_mub_per_atom": 1.236,
  "corrected_energy_ev_per_atom": -8.151,
  "cell": [[0.000, -2.834, 0.000], [-2.828, 0.000, 0.000], [0.000, 0.000, -11.659]],
  "species": ["Co", "Co", "Fe", "Fe", "Fe", "Fe", "N", "N", "N", "N"],
  "fractional_positions": [[0.750, 0.742, 0.750], [0.250, 0.258, 0.250], [0.750, 0.743, 0.407], [0.250, 0.257, 0.593], [0.750, 0.743, 0.093], [0.250, 0.257, 0.907], [0.250, 0.244, 0.090], [0.250, 0.244, 0.410], [0.750, 0.756, 0.590], [0.750, 0.756, 0.910]]
}


Number 1: calculated volume 3122.1 Å³/cell. Number 2: calculated volume 113.2 Å³/cell. Number 3: calculated volume 93.5 Å³/cell.